1.
Here is a relaxed structure of ZnS from the Materials Project database. Energies are from PBE.

Crystal system: trigonal

a b c (Å): 3.8523 3.8523 113.3008
angles (deg): 90.00 90.00 120.00
Last column: nearest neighbours and their distance in Å.
Space group P3m1 (No. 156)
One atom of each set of equivalent atoms:
Zn 0.0000 0.0000 0.0000 (multiplicity 1)  4 S 2.36
Zn 0.0000 0.0000 0.0556 (multiplicity 1)  4 S 2.36
Zn 0.0000 0.0000 0.1389 (multiplicity 1)  4 S 2.36
Zn 0.0000 0.0000 0.1945 (multiplicity 1)  4 S 2.36
Zn 0.0000 0.0000 0.2778 (multiplicity 1)  4 S 2.36
Zn 0.0000 0.0000 0.3333 (multiplicity 1)  4 S 2.36
Zn 0.0000 0.0000 0.4167 (multiplicity 1)  4 S 2.36
Zn 0.0000 0.0000 0.4722 (multiplicity 1)  4 S 2.36
Zn 0.0000 0.0000 0.5556 (multiplicity 1)  4 S 2.36
Zn 0.0000 0.0000 0.6111 (multiplicity 1)  4 S 2.36
Zn 0.0000 0.0000 0.6944 (multiplicity 1)  4 S 2.36
Zn 0.0000 0.0000 0.7778 (multiplicity 1)  4 S 2.36
Zn 0.0000 0.0000 0.8611 (multiplicity 1)  4 S 2.36
Zn 0.0000 0.0000 0.9167 (multiplicity 1)  4 S 2.36
Zn 0.3333 0.6667 0.0833 (multiplicity 1)  4 S 2.36
Zn 0.3333 0.6667 0.1667 (multiplicity 1)  4 S 2.36
Zn 0.3333 0.6667 0.2500 (multiplicity 1)  4 S 2.36
Zn 0.3333 0.6667 0.3611 (multiplicity 1)  4 S 2.36
Zn 0.3333 0.6667 0.4444 (multiplicity 1)  4 S 2.36
Zn 0.3333 0.6667 0.5278 (multiplicity 1)  4 S 2.36
Zn 0.3333 0.6667 0.6389 (multiplicity 1)  4 S 2.36
Zn 0.3333 0.6667 0.7222 (multiplicity 1)  4 S 2.36
Zn 0.3333 0.6667 0.8056 (multiplicity 1)  4 S 2.36
Zn 0.3333 0.6667 0.8889 (multiplicity 1)  4 S 2.36
Zn 0.3333 0.6667 0.9722 (multiplicity 1)  4 S 2.36
Zn 0.6667 0.3333 0.0278 (multiplicity 1)  4 S 2.36
Zn 0.6667 0.3333 0.1111 (multiplicity 1)  4 S 2.36
Zn 0.6667 0.3333 0.2222 (multiplicity 1)  4 S 2.36
Zn 0.6667 0.3333 0.3056 (multiplicity 1)  4 S 2.36
Zn 0.6667 0.3333 0.3889 (multiplicity 1)  4 S 2.36
Zn 0.6667 0.3333 0.5000 (multiplicity 1)  4 S 2.36
Zn 0.6667 0.3333 0.5833 (multiplicity 1)  4 S 2.36
Zn 0.6667 0.3333 0.6667 (multiplicity 1)  4 S 2.36
Zn 0.6667 0.3333 0.7500 (multiplicity 1)  4 S 2.36
Zn 0.6667 0.3333 0.8333 (multiplicity 1)  4 S 2.36
Zn 0.6667 0.3333 0.9444 (multiplicity 1)  4 S 2.36
S 0.0000 0.0000 0.0208 (multiplicity 1)  4 Zn 2.36
S 0.0000 0.0000 0.0764 (multiplicity 1)  4 Zn 2.36
S 0.0000 0.0000 0.1597 (multiplicity 1)  4 Zn 2.36
S 0.0000 0.0000 0.2153 (multiplicity 1)  4 Zn 2.36
S 0.0000 0.0000 0.2986 (multiplicity 1)  4 Zn 2.36
S 0.0000 0.0000 0.3542 (multiplicity 1)  4 Zn 2.36
S 0.0000 0.0000 0.4375 (multiplicity 1)  4 Zn 2.36
S 0.0000 0.0000 0.4931 (multiplicity 1)  4 Zn 2.36
S 0.0000 0.0000 0.5764 (multiplicity 1)  4 Zn 2.36
S 0.0000 0.0000 0.6319 (multiplicity 1)  4 Zn 2.36
S 0.0000 0.0000 0.7153 (multiplicity 1)  4 Zn 2.36
S 0.0000 0.0000 0.7986 (multiplicity 1)  4 Zn 2.36
S 0.0000 0.0000 0.8819 (multiplicity 1)  4 Zn 2.36
S 0.0000 0.0000 0.9375 (multiplicity 1)  4 Zn 2.36
S 0.3333 0.6667 0.1042 (multiplicity 1)  4 Zn 2.36
S 0.3333 0.6667 0.1875 (multiplicity 1)  4 Zn 2.36
S 0.3333 0.6667 0.2708 (multiplicity 1)  4 Zn 2.36
S 0.3333 0.6667 0.3819 (multiplicity 1)  4 Zn 2.36
S 0.3333 0.6667 0.4653 (multiplicity 1)  4 Zn 2.36
S 0.3333 0.6667 0.5486 (multiplicity 1)  4 Zn 2.36
S 0.3333 0.6667 0.6597 (multiplicity 1)  4 Zn 2.36
S 0.3333 0.6667 0.7431 (multiplicity 1)  4 Zn 2.36
S 0.3333 0.6667 0.8264 (multiplicity 1)  4 Zn 2.36
S 0.3333 0.6667 0.9097 (multiplicity 1)  4 Zn 2.36
S 0.3333 0.6667 0.9931 (multiplicity 1)  4 Zn 2.36
S 0.6667 0.3333 0.0486 (multiplicity 1)  4 Zn 2.36
S 0.6667 0.3333 0.1319 (multiplicity 1)  4 Zn 2.36
S 0.6667 0.3333 0.2431 (multiplicity 1)  4 Zn 2.36
S 0.6667 0.3333 0.3264 (multiplicity 1)  4 Zn 2.36
S 0.6667 0.3333 0.4097 (multiplicity 1)  4 Zn 2.36
S 0.6667 0.3333 0.5208 (multiplicity 1)  4 Zn 2.36
S 0.6667 0.3333 0.6042 (multiplicity 1)  4 Zn 2.36
S 0.6667 0.3333 0.6875 (multiplicity 1)  4 Zn 2.36
S 0.6667 0.3333 0.7708 (multiplicity 1)  4 Zn 2.36
S 0.6667 0.3333 0.8542 (multiplicity 1)  4 Zn 2.36
S 0.6667 0.3333 0.9653 (multiplicity 1)  4 Zn 2.36


2.
Here is a relaxed structure of ZnS from the Materials Project database. Energies are from PBE.

Crystal system: trigonal

a b c (Å): 3.8536 3.8536 56.7024
angles (deg): 90.00 90.00 120.00
Last column: nearest neighbours and their distance in Å.
Space group P3m1 (No. 156)
One atom of each set of equivalent atoms:
Zn 0.0000 0.0000 0.0000 (multiplicity 1)  4 S 2.36
Zn 0.0000 0.0000 0.1111 (multiplicity 1)  4 S 2.36
Zn 0.0000 0.0000 0.2222 (multiplicity 1)  4 S 2.36
Zn 0.0000 0.0000 0.3333 (multiplicity 1)  4 S 2.36
Zn 0.0000 0.0000 0.4444 (multiplicity 1)  4 S 2.36
Zn 0.0000 0.0000 0.5556 (multiplicity 1)  4 S 2.36
Zn 0.0000 0.0000 0.7222 (multiplicity 1)  4 S 2.36
Zn 0.0000 0.0000 0.8889 (multiplicity 1)  4 S 2.36
Zn 0.3333 0.6667 0.1667 (multiplicity 1)  4 S 2.36
Zn 0.3333 0.6667 0.3889 (multiplicity 1)  4 S 2.36
Zn 0.3333 0.6667 0.6111 (multiplicity 1)  4 S 2.36
Zn 0.3333 0.6667 0.7778 (multiplicity 1)  4 S 2.36
Zn 0.3333 0.6667 0.9444 (multiplicity 1)  4 S 2.36
Zn 0.6667 0.3333 0.0555 (multiplicity 1)  4 S 2.36
Zn 0.6667 0.3333 0.2778 (multiplicity 1)  4 S 2.36
Zn 0.6667 0.3333 0.5000 (multiplicity 1)  4 S 2.36
Zn 0.6667 0.3333 0.6667 (multiplicity 1)  4 S 2.36
Zn 0.6667 0.3333 0.8333 (multiplicity 1)  4 S 2.36
S 0.0000 0.0000 0.0416 (multiplicity 1)  4 Zn 2.36
S 0.0000 0.0000 0.1527 (multiplicity 1)  4 Zn 2.36
S 0.0000 0.0000 0.2638 (multiplicity 1)  4 Zn 2.36
S 0.0000 0.0000 0.3750 (multiplicity 1)  4 Zn 2.36
S 0.0000 0.0000 0.4861 (multiplicity 1)  4 Zn 2.36
S 0.0000 0.0000 0.5972 (multiplicity 1)  4 Zn 2.36
S 0.0000 0.0000 0.7639 (multiplicity 1)  4 Zn 2.36
S 0.0000 0.0000 0.9305 (multiplicity 1)  4 Zn 2.36
S 0.3333 0.6667 0.2084 (multiplicity 1)  4 Zn 2.36
S 0.3333 0.6667 0.4306 (multiplicity 1)  4 Zn 2.36
S 0.3333 0.6667 0.6528 (multiplicity 1)  4 Zn 2.36
S 0.3333 0.6667 0.8194 (multiplicity 1)  4 Zn 2.36
S 0.3333 0.6667 0.9861 (multiplicity 1)  4 Zn 2.36
S 0.6667 0.3333 0.0972 (multiplicity 1)  4 Zn 2.36
S 0.6667 0.3333 0.3195 (multiplicity 1)  4 Zn 2.36
S 0.6667 0.3333 0.5417 (multiplicity 1)  4 Zn 2.36
S 0.6667 0.3333 0.7083 (multiplicity 1)  4 Zn 2.36
S 0.6667 0.3333 0.8750 (multiplicity 1)  4 Zn 2.36


no.,DFT formation energy (eV per atom)
1,-1.06
2,-1.06